(1)
{"formula": "KMnBi", "functional": "PBE", "state": "relaxed", "formation_energy_mev_per_atom": 0, "space_group": "P4/nmm, No. 129", "volume_a3_per_fu": 97, "cell": [[4.788, 0.000, 0.000], [0.000, 4.788, 0.000], [0.000, 0.000, 8.465]], "species": ["K", "K", "Mn", "Mn", "Bi", "Bi"], "frac_coords": [[0.250, 0.250, 0.155], [0.750, 0.750, 0.845], [0.250, 0.750, 0.500], [0.750, 0.250, 0.500], [0.250, 0.250, 0.695], [0.750, 0.750, 0.305]]}

(2)
{"formula": "LuB4Os", "functional": "PBE", "state": "relaxed", "formation_energy_mev_per_atom": -598, "space_group": "Pbam, No. 55", "volume_a3_per_fu": 60, "cell": [[5.917, 0.000, 0.000], [0.000, 11.441, 0.000], [0.000, 0.000, 3.537]], "species": ["Lu", "Lu", "Lu", "Lu", "B", "B", "B", "B", "B", "B", "B", "B", "B", "B", "B", "B", "B", "B", "B", "B", "Os", "Os", "Os", "Os"], "frac_coords": [[0.129, 0.150, 0.000], [0.371, 0.650, 0.000], [0.629, 0.350, 0.000], [0.871, 0.850, 0.000], [0.024, 0.693, 0.500], [0.113, 0.548, 0.500], [0.135, 0.970, 0.500], [0.208, 0.814, 0.500], [0.292, 0.314, 0.500], [0.365, 0.470, 0.500], [0.387, 0.048, 0.500], [0.476, 0.193, 0.500], [0.524, 0.807, 0.500], [0.613, 0.952, 0.500], [0.635, 0.530, 0.500], [0.708, 0.686, 0.500], [0.792, 0.186, 0.500], [0.865, 0.030, 0.500], [0.887, 0.452, 0.500], [0.976, 0.307, 0.500], [0.143, 0.406, 0.000], [0.357, 0.906, 0.000], [0.643, 0.094, 0.000], [0.857, 0.594, 0.000]]}

(3)
{"formula": "LuAl7Au3", "functional": "PBE", "state": "relaxed", "formation_energy_mev_per_atom": -483, "space_group": "R-3c, No. 167", "volume_a3_per_fu": 198, "cell": [[4.034, 2.329, 7.034], [-4.034, 2.329, 7.034], [0.000, -4.658, 7.034]], "species": ["Lu", "Lu", "Al", "Al", "Al", "Al", "Al", "Al", "Al", "Al", "Al", "Al", "Al", "Al", "Al", "Al", "Au", "Au", "Au", "Au", "Au", "Au"], "frac_coords": [[0.000, 0.000, 0.000], [0.500, 0.500, 0.500], [0.070, 0.853, 0.667], [0.147, 0.333, 0.930], [0.167, 0.353, 0.570], [0.250, 0.250, 0.250], [0.333, 0.930, 0.147], [0.353, 0.570, 0.167], [0.430, 0.833, 0.647], [0.570, 0.167, 0.353], [0.647, 0.430, 0.833], [0.667, 0.070, 0.853], [0.750, 0.750, 0.750], [0.833, 0.647, 0.430], [0.853, 0.667, 0.070], [0.930, 0.147, 0.333], [0.076, 0.750, 0.424], [0.250, 0.576, 0.924], [0.424, 0.076, 0.750], [0.576, 0.924, 0.250], [0.750, 0.424, 0.076], [0.924, 0.250, 0.576]]}

(4)
{"formula": "CrN2", "functional": "PBE", "state": "relaxed", "formation_energy_mev_per_atom": 166, "space_group": "Ibam, No. 72", "corrected_energy_ev_per_atom": -8.61, "volume_a3_per_fu": 53, "cell": [[-2.434, 4.344, 2.497], [2.434, -4.344, 2.497], [2.434, 4.344, -2.497]], "species": ["Cr", "Cr", "N", "N", "N", "N"], "frac_coords": [[0.250, 0.250, 0.000], [0.750, 0.750, 0.000], [0.099, 0.180, 0.279], [0.401, 0.680, 0.080], [0.599, 0.320, 0.920], [0.901, 0.820, 0.721]]}